[1]
The following is a PBE calculation of crystalline NaAsSe2 at its relaxed geometry, from Materials Project.

Cell: 5.917 12.091 24.992 Å, 90.00 90.00 90.00°
Atoms (fractional coordinates):
1 Na 0.709 0.124 0.747
2 Na 0.238 0.373 0.498
3 Na 0.762 0.127 0.998
4 Na 0.262 0.873 0.502
5 Na 0.262 0.373 0.998
6 Na 0.762 0.627 0.502
7 Na 0.238 0.873 0.002
8 Na 0.738 0.127 0.498
9 Na 0.709 0.624 0.753
10 Na 0.209 0.376 0.747
11 Na 0.791 0.124 0.247
12 Na 0.291 0.876 0.253
13 Na 0.291 0.376 0.247
14 Na 0.791 0.624 0.253
15 Na 0.209 0.876 0.753
16 Na 0.738 0.627 0.002
17 As 0.288 0.645 0.612
18 As 0.712 0.855 0.112
19 As 0.212 0.145 0.388
20 As 0.212 0.645 0.112
21 As 0.712 0.355 0.388
22 As 0.288 0.145 0.888
23 As 0.788 0.855 0.612
24 As 0.768 0.355 0.140
25 As 0.268 0.645 0.360
26 As 0.732 0.855 0.860
27 As 0.232 0.145 0.640
28 As 0.232 0.645 0.860
29 As 0.732 0.355 0.640
30 As 0.268 0.145 0.140
31 As 0.788 0.355 0.888
32 As 0.768 0.855 0.360
33 Se 0.206 0.845 0.629
34 Se 0.261 0.124 0.981
35 Se 0.739 0.376 0.481
36 Se 0.239 0.624 0.019
37 Se 0.239 0.124 0.481
38 Se 0.739 0.876 0.019
39 Se 0.261 0.624 0.519
40 Se 0.761 0.376 0.981
41 Se 0.709 0.874 0.767
42 Se 0.209 0.126 0.733
43 Se 0.791 0.374 0.233
44 Se 0.291 0.626 0.267
45 Se 0.291 0.126 0.233
46 Se 0.791 0.874 0.267
47 Se 0.209 0.626 0.767
48 Se 0.709 0.374 0.733
49 Se 0.706 0.155 0.871
50 Se 0.794 0.655 0.129
51 Se 0.294 0.345 0.371
52 Se 0.294 0.845 0.129
53 Se 0.794 0.155 0.371
54 Se 0.206 0.345 0.871
55 Se 0.706 0.655 0.629
56 Se 0.649 0.156 0.622
57 Se 0.149 0.844 0.878
58 Se 0.851 0.656 0.378
59 Se 0.351 0.344 0.122
60 Se 0.351 0.844 0.378
61 Se 0.851 0.156 0.122
62 Se 0.149 0.344 0.622
63 Se 0.649 0.656 0.878
64 Se 0.761 0.876 0.519

Summary:
- crystal system = orthorhombic
- space-group type = Pbca (61)
- M_tot (μB per atom) = 0.00

[2]
The following is a PBE calculation of crystalline BaSmHf4O12 at its relaxed geometry, from Materials Project.

Cell: 5.815 5.815 8.171 Å, 90.00 90.00 89.70°
Atoms (fractional coordinates):
1 Ba 0.521 0.521 0.000
2 Sm 0.970 0.970 0.500
3 Hf 0.489 0.008 0.746
4 Hf 0.489 0.008 0.254
5 Hf 0.008 0.489 0.254
6 Hf 0.008 0.489 0.746
7 O 0.730 0.270 0.744
8 O 0.270 0.730 0.744
9 O 0.270 0.730 0.256
10 O 0.730 0.270 0.256
11 O 0.771 0.771 0.755
12 O 0.205 0.205 0.692
13 O 0.205 0.205 0.308
14 O 0.771 0.771 0.245
15 O 0.483 0.024 0.000
16 O 0.571 0.984 0.500
17 O 0.024 0.483 0.000
18 O 0.984 0.571 0.500

Summary:
- crystal system = orthorhombic
- space-group type = Amm2 (38)
- M_tot (μB per atom) = 0.17

[3]
The following is a PBE calculation of crystalline Ag5GeO4 at its relaxed geometry, from Materials Project.

Cell: 10.072 6.546 11.260 Å, 55.51 90.00 90.00°
Atoms (fractional coordinates):
1 Ag 0.415 0.076 0.090
2 Ag 0.915 0.924 0.410
3 Ag 0.585 0.924 0.910
4 Ag 0.085 0.076 0.590
5 Ag 0.355 0.603 0.121
6 Ag 0.855 0.397 0.379
7 Ag 0.645 0.397 0.879
8 Ag 0.145 0.603 0.621
9 Ag 0.408 0.323 0.699
10 Ag 0.908 0.677 0.801
11 Ag 0.592 0.677 0.301
12 Ag 0.092 0.323 0.199
13 Ag 0.377 0.802 0.424
14 Ag 0.877 0.198 0.076
15 Ag 0.623 0.198 0.576
16 Ag 0.123 0.802 0.924
17 Ag 0.375 0.347 0.443
18 Ag 0.875 0.653 0.057
19 Ag 0.625 0.653 0.557
20 Ag 0.125 0.347 0.943
21 Ge 0.386 0.751 0.759
22 Ge 0.886 0.249 0.741
23 Ge 0.614 0.249 0.241
24 Ge 0.114 0.751 0.259
25 O 0.439 0.222 0.278
26 O 0.939 0.778 0.222
27 O 0.561 0.778 0.722
28 O 0.061 0.222 0.778
29 O 0.290 0.920 0.597
30 O 0.790 0.080 0.903
31 O 0.710 0.080 0.403
32 O 0.210 0.920 0.097
33 O 0.343 0.431 0.857
34 O 0.140 0.882 0.362
35 O 0.843 0.569 0.643
36 O 0.157 0.431 0.357
37 O 0.360 0.882 0.862
38 O 0.860 0.118 0.638
39 O 0.640 0.118 0.138
40 O 0.657 0.569 0.143

Summary:
- crystal system = monoclinic
- space-group type = P2_1/c (14)

[4]
The following is a PBE calculation of crystalline Cs5AsP4Se12 at its relaxed geometry, from Materials Project.

Cell: 14.243 14.243 7.767 Å, 90.00 90.00 90.00°
Atoms (fractional coordinates):
1 Cs 0.000 0.000 0.500
2 Cs 0.000 0.000 0.000
3 Cs 0.318 0.343 0.500
4 Cs 0.682 0.657 0.500
5 Cs 0.657 0.318 0.000
6 Cs 0.343 0.682 0.000
7 Cs 0.322 0.968 0.500
8 Cs 0.678 0.032 0.500
9 Cs 0.032 0.322 0.000
10 Cs 0.968 0.678 0.000
11 As 0.000 0.500 0.500
12 As 0.500 0.000 0.000
13 P 0.201 0.608 0.500
14 P 0.799 0.392 0.500
15 P 0.392 0.201 0.000
16 P 0.608 0.799 0.000
17 P 0.115 0.745 0.500
18 P 0.885 0.255 0.500
19 P 0.255 0.115 0.000
20 P 0.745 0.885 0.000
21 Se 0.150 0.819 0.263
22 Se 0.850 0.181 0.263
23 Se 0.181 0.150 0.763
24 Se 0.819 0.850 0.763
25 Se 0.850 0.181 0.737
26 Se 0.150 0.819 0.737
27 Se 0.819 0.850 0.237
28 Se 0.181 0.150 0.237
29 Se 0.033 0.311 0.500
30 Se 0.967 0.689 0.500
31 Se 0.689 0.033 0.000
32 Se 0.311 0.967 0.000
33 Se 0.350 0.634 0.500
34 Se 0.650 0.366 0.500
35 Se 0.366 0.350 0.000
36 Se 0.634 0.650 0.000
37 Se 0.147 0.529 0.272
38 Se 0.853 0.471 0.272
39 Se 0.471 0.147 0.772
40 Se 0.529 0.853 0.772
41 Se 0.853 0.471 0.728
42 Se 0.147 0.529 0.728
43 Se 0.529 0.853 0.228
44 Se 0.471 0.147 0.228

Summary:
- crystal system = tetragonal
- space-group type = P4_2/m (84)
- M_tot (μB per atom) = 0.00

[5]
The following is a PBE calculation of crystalline LuAlPt at its relaxed geometry, from Materials Project.

Cell: 4.390 6.780 7.688 Å, 90.00 90.00 90.00°
Atoms (fractional coordinates):
1 Lu 0.250 0.031 0.680
2 Lu 0.250 0.531 0.820
3 Lu 0.750 0.969 0.320
4 Lu 0.750 0.469 0.180
5 Al 0.250 0.146 0.063
6 Al 0.250 0.646 0.437
7 Al 0.750 0.854 0.937
8 Al 0.750 0.354 0.563
9 Pt 0.250 0.271 0.382
10 Pt 0.250 0.771 0.118
11 Pt 0.750 0.729 0.618
12 Pt 0.750 0.229 0.882

Summary:
- crystal system = orthorhombic
- space-group type = Pnma (62)

[6]
The following is a PBE calculation of crystalline MgPd3 at its relaxed geometry, from Materials Project.

Cell: 8.432 8.432 8.432 Å, 152.72 152.72 38.97°
Atoms (fractional coordinates):
1 Mg 0.124 0.124 0.000
2 Mg 0.876 0.876 0.000
3 Pd 0.000 0.500 0.500
4 Pd 0.500 0.000 0.500
5 Pd 0.250 0.750 0.500
6 Pd 0.750 0.250 0.500
7 Pd 0.374 0.374 0.000
8 Pd 0.626 0.626 0.000

Summary:
- crystal system = tetragonal
- space-group type = I4/mmm (139)

no.,calculated volume (Å³ per atom),VASP energy (eV per cell),formation energy from the elements (eV/atom)
1,27.936,-242.31,-0.779
2,15.349,-159.21,-3.423
3,15.297,-176.14,-0.821
4,35.810,-173.16,-0.887
5,19.066,-71.54,-1.183
6,15.718,-38.25,-0.496